# 1
An optimized crystal structure of YbHfRh2, computed with r2SCAN.

Output
Symmetry   Fm-3m
Energy of formation   -0.9795 eV per atom
Volume   17.824 Å³/atom
Crystal system   cubic
E   -133.87 eV/cell

a = 4.6543 Å, b = 4.6543 Å, c = 4.6543 Å
α = 60.00°, β = 60.00°, γ = 60.00°
Fractional coordinates of all 4 atoms:
Yb: 0.0000 0.0000 0.0000
Hf: 0.5000 0.5000 0.5000
Rh: 0.7500 0.7500 0.7500
Rh: 0.2500 0.2500 0.2500

---

# 2
An optimized crystal structure of HfRu, computed with r2SCAN.

Output
Symmetry   Pm-3m
Energy of formation   -0.9023 eV per atom
Volume   16.773 Å³/atom
Crystal system   cubic
E   -72.38 eV/cell

a = 3.2251 Å, b = 3.2251 Å, c = 3.2251 Å
α = 90.00°, β = 90.00°, γ = 90.00°
Fractional coordinates of all 2 atoms:
Ru: 0.5000 0.5000 0.5000
Hf: 0.0000 0.0000 0.0000

---

# 3
An optimized crystal structure of HfSiRu2, computed with r2SCAN.

Output
Symmetry   Fm-3m
Energy of formation   -0.8701 eV per atom
Volume   14.483 Å³/atom
Crystal system   cubic
E   -108.25 eV/cell

a = 4.3432 Å, b = 4.3432 Å, c = 4.3432 Å
α = 60.00°, β = 60.00°, γ = 60.00°
Fractional coordinates of all 4 atoms:
Si: 0.7500 0.7500 0.7500
Ru: 0.5000 0.5000 0.5000
Ru: 0.0000 0.0000 0.0000
Hf: 0.2500 0.2500 0.2500

---

# 4
An optimized crystal structure of HfSiRu, computed with r2SCAN.

Output
Symmetry   Ima2
Energy of formation   -1.0043 eV per atom
Volume   15.446 Å³/atom
Crystal system   orthorhombic
E   -494.18 eV/cell

a = 6.6394 Å, b = 7.3284 Å, c = 7.5563 Å
α = 119.01°, β = 116.06°, γ = 90.00°
Fractional coordinates of all 18 atoms:
Si: 0.9124 0.6735 0.3351
Ru: 0.2469 0.3489 0.7521
Ru: 0.4948 0.6511 0.2479
Hf: 0.6624 0.7469 0.9939
Hf: 0.2419 0.4700 0.4401
Si: 0.2308 0.7255 0.9509
Si: 0.5773 0.3265 0.6649
Ru: 0.2469 0.9032 0.7521
Si: 0.2799 0.2745 0.0491
Si: 0.9124 0.1616 0.3351
Hf: 0.6685 0.2531 0.0061
Hf: 0.8018 0.5300 0.5599
Si: 0.5773 0.8384 0.6649
Ru: 0.4948 0.0968 0.2479
Ru: 0.0005 0.0000 0.0000
Hf: 0.2428 0.9470 0.3939
Ru: 0.0005 0.5000 0.0000
Hf: 0.8489 0.0530 0.6061

---

# 5
An optimized crystal structure of HfSiRu, computed with r2SCAN.

Output
Symmetry   P-62m
Energy of formation   -0.9880 eV per atom
Volume   15.473 Å³/atom
Crystal system   hexagonal
E   -246.94 eV/cell

a = 3.6645 Å, b = 6.6240 Å, c = 6.6244 Å
α = 120.00°, β = 90.00°, γ = 90.00°
Fractional coordinates of all 9 atoms:
Ru: 0.0000 0.0000 0.2461
Si: 0.0000 0.6667 0.3333
Si: 0.0000 0.3333 0.6667
Si: 0.5000 0.0000 0.0000
Hf: 0.5000 0.4153 0.4153
Ru: 0.0000 0.2461 0.0000
Ru: 0.0000 0.7539 0.7539
Hf: 0.5000 0.5846 0.0000
Hf: 0.5000 0.0000 0.5847

---

# 6
An optimized crystal structure of TmHfRu2, computed with r2SCAN.

Output
Symmetry   Fm-3m
Energy of formation   -0.6941 eV per atom
Volume   17.502 Å³/atom
Crystal system   cubic
E   -133.90 eV/cell

a = 4.6262 Å, b = 4.6262 Å, c = 4.6262 Å
α = 60.00°, β = 60.00°, γ = 60.00°
Fractional coordinates of all 4 atoms:
Ru: 0.0000 0.0000 0.0000
Hf: 0.2500 0.2500 0.2500
Tm: 0.7500 0.7500 0.7500
Ru: 0.5000 0.5000 0.5000

---

# 7
An optimized crystal structure of HfSiS, computed with r2SCAN.

Output
Symmetry   P4/nmm
Energy of formation   -1.2630 eV per atom
Volume   16.543 Å³/atom
Crystal system   tetragonal
E   -131.50 eV/cell

a = 3.5259 Å, b = 3.5259 Å, c = 7.9840 Å
α = 90.00°, β = 90.00°, γ = 90.00°
Fractional coordinates of all 6 atoms:
Hf: 0.7500 0.7500 0.7315
S: 0.2500 0.2500 0.6210
Si: 0.7500 0.2500 0.0000
Si: 0.2500 0.7500 0.0000
Hf: 0.2500 0.2500 0.2685
S: 0.7500 0.7500 0.3790

---

# 8
An optimized crystal structure of Sm2HfS5, computed with r2SCAN.

Output
Symmetry   Pnma
Energy of formation   -2.1827 eV per atom
Volume   20.879 Å³/atom
Crystal system   orthorhombic
E   -649.00 eV/cell

a = 7.3281 Å, b = 7.8862 Å, c = 11.5613 Å
α = 90.00°, β = 90.00°, γ = 90.00°
Fractional coordinates of all 32 atoms:
S: 0.6807 0.2500 0.7942
S: 0.8193 0.2500 0.2942
S: 0.6638 0.9647 0.0870
Hf: 0.4261 0.7500 0.9934
S: 0.8417 0.7500 0.3171
Sm: 0.0313 0.9984 0.1769
Sm: 0.5313 0.0016 0.3231
S: 0.9438 0.2500 0.0046
Sm: 0.5313 0.4984 0.3231
S: 0.0562 0.7500 0.9954
S: 0.6638 0.5353 0.0870
S: 0.1583 0.2500 0.6829
S: 0.4438 0.7500 0.4954
S: 0.1638 0.0353 0.4130
Sm: 0.0313 0.5016 0.1769
S: 0.3417 0.2500 0.1829
S: 0.6583 0.7500 0.8171
S: 0.1807 0.7500 0.7058
S: 0.1638 0.4647 0.4130
Sm: 0.9687 0.0016 0.8231
Sm: 0.9687 0.4984 0.8231
Hf: 0.9261 0.2500 0.5066
Sm: 0.4687 0.5016 0.6769
S: 0.3193 0.7500 0.2058
S: 0.8362 0.9647 0.5870
Sm: 0.4687 0.9984 0.6769
Hf: 0.0739 0.7500 0.4934
S: 0.3362 0.4647 0.9130
S: 0.3362 0.0353 0.9130
S: 0.5562 0.2500 0.5046
Hf: 0.5739 0.2500 0.0066
S: 0.8362 0.5353 0.5870